12
Lattice="-3.4845 -4.6829 5.1125 -5.7165 -4.8327 -2.3175 1.1786 -7.6676 -0.1657" Properties=species:S:1:pos:R:3 comment="NbSeI, optimized geometry, DFT GGA-PBE" magmom_total_mub_per_fu=0.5 formation_energy_ev_per_atom=-0.86 corrected_energy_ev_per_cell=-70.9 pbc="T T T"
I -1.0349 -2.2123 0.3367
I -3.8046 -4.5537 -0.7862
I -2.7442 -4.4703 2.8430
I -0.4395 -5.9455 0.2343
Se -5.6576 -6.8471 1.7377
Se -5.1069 -10.8567 1.6275
Se -2.0376 -8.2619 2.8718
Se -3.2481 -8.3893 -0.9896
Nb -2.7986 -9.9022 1.0564
Nb -3.2020 -6.8746 1.0587
Nb -5.4979 -8.8156 0.1279
Nb -4.5406 -8.7872 3.0281

10
Lattice="-6.4753 -2.9025 0.3452 5.4674 -4.1471 -1.8390 0.7501 -4.5437 6.6907" Properties=species:S:1:pos:R:3 comment="NbSe2I2, optimized geometry, DFT GGA-PBE" formation_energy_ev_per_atom=-0.72 corrected_energy_ev_per_cell=-47.5 pbc="T T T"
Nb -5.0216 -3.0540 0.0793
Nb 4.0137 -3.9956 -1.5731
Se -0.5967 -5.3207 -0.2311
Se 0.4012 -4.1294 4.5467
Se -0.6589 -7.4639 0.6503
Se 0.3390 -6.2726 5.4280
I 2.2447 -9.2564 3.6247
I 2.3743 -2.8451 0.6804
I -2.6320 -8.7482 4.5166
I -2.5024 -2.3369 1.5723

106
Lattice="9.7871 0.0000 0.0000 0.0000 9.7871 0.0000 0.0000 0.0000 32.3533" Properties=species:S:1:pos:R:3 comment="Nb10Se40I3, optimized geometry, DFT GGA-PBE" magmom_total_mub_per_fu=0.2 formation_energy_ev_per_atom=-0.58 corrected_energy_ev_per_cell=-552.8 pbc="T T T"
I 0.0000 0.0000 2.6002
I 0.0000 0.0000 29.7531
I 0.0000 0.0000 18.7769
I 4.8936 4.8936 24.2650
I 0.0000 0.0000 13.5765
I 4.8936 4.8936 8.0883
Se 6.9982 0.3546 22.5648
Se 8.5609 6.6540 3.1352
Se 2.9841 1.0188 0.0000
Se 6.8030 8.7683 0.0000
Se 1.2262 3.1331 29.2182
Se 5.3883 2.0553 19.5148
Se 6.6540 1.2262 29.2182
Se 1.2262 3.1331 3.1352
Se 2.9841 8.7683 16.1767
Se 5.3883 7.7318 29.0152
Se 2.7889 9.4325 22.5648
Se 0.3546 6.9982 6.3882
Se 5.0647 2.1392 0.0000
Se 3.1331 1.2262 13.0415
Se 5.0647 7.6479 16.1767
Se 8.5609 6.6540 29.2182
Se 6.9982 0.3546 9.7885
Se 2.0553 5.3883 29.0152
Se 1.8309 3.7251 6.5921
Se 0.3546 2.7889 22.5648
Se 3.1331 1.2262 19.3118
Se 7.7318 4.3988 3.3381
Se 3.1331 8.5609 3.1352
Se 7.9562 6.0620 25.7612
Se 2.1392 4.7224 0.0000
Se 5.3883 7.7318 3.3381
Se 7.6479 4.7224 16.1767
Se 2.1392 5.0647 16.1767
Se 2.0553 4.3988 12.8385
Se 4.7224 2.1392 16.1767
Se 4.3988 2.0553 29.0152
Se 2.7889 9.4325 9.7885
Se 6.0620 1.8309 6.5921
Se 2.0553 4.3988 19.5148
Se 3.7251 7.9562 6.5921
Se 9.4325 6.9982 22.5648
Se 3.7251 7.9562 25.7612
Se 7.7318 4.3988 29.0152
Se 6.6540 8.5609 19.3118
Se 1.8309 6.0620 22.7688
Se 8.7683 2.9841 0.0000
Se 1.8309 3.7251 25.7612
Se 1.8309 6.0620 9.5845
Se 2.0553 5.3883 3.3381
Se 2.7889 0.3546 6.3882
Se 9.4325 2.7889 25.9652
Se 7.9562 3.7251 9.5845
Se 1.2262 6.6540 13.0415
Se 4.3988 2.0553 3.3381
Se 6.0620 7.9562 9.5845
Se 7.7318 5.3883 19.5148
Se 7.7318 5.3883 12.8385
Se 6.9982 9.4325 6.3882
Se 1.0188 6.8030 0.0000
Se 7.9562 3.7251 22.7688
Se 9.4325 2.7889 6.3882
Se 8.5609 3.1331 13.0415
Se 1.0188 2.9841 16.1767
Se 6.8030 1.0188 16.1767
Se 6.6540 1.2262 3.1352
Se 6.6540 8.5609 13.0415
Se 4.7224 7.6479 0.0000
Se 9.4325 6.9982 9.7885
Se 6.0620 7.9562 22.7688
Se 2.7889 0.3546 25.9652
Se 4.3988 7.7318 12.8385
Se 0.3546 6.9982 25.9652
Se 3.1331 8.5609 29.2182
Se 1.2262 6.6540 19.3118
Se 0.3546 2.7889 9.7885
Se 7.9562 6.0620 6.5921
Se 7.6479 5.0647 0.0000
Se 3.7251 1.8309 22.7688
Se 4.3988 7.7318 19.5148
Se 8.5609 3.1331 19.3118
Se 8.7683 6.8030 16.1767
Se 5.3883 2.0553 12.8385
Se 6.9982 9.4325 25.9652
Se 3.7251 1.8309 9.5845
Se 6.0620 1.8309 25.7612
Nb 0.0000 4.8936 24.2650
Nb 4.8936 0.0000 27.4716
Nb 0.0000 4.8936 14.5926
Nb 4.8936 0.0000 14.5926
Nb 0.0000 4.8936 30.7693
Nb 4.8936 0.0000 30.7693
Nb 4.8936 0.0000 1.5841
Nb 4.8936 0.0000 21.0584
Nb 0.0000 4.8936 8.0883
Nb 4.8936 0.0000 8.0883
Nb 4.8936 0.0000 17.7607
Nb 0.0000 4.8936 17.7607
Nb 4.8936 0.0000 4.8817
Nb 0.0000 4.8936 27.4716
Nb 4.8936 0.0000 24.2650
Nb 0.0000 4.8936 1.5841
Nb 0.0000 4.8936 11.2949
Nb 4.8936 0.0000 11.2949
Nb 0.0000 4.8936 4.8817
Nb 0.0000 4.8936 21.0584

106
Lattice="9.7139 0.0000 0.0000 0.0000 9.7201 0.0000 0.0000 1.2627 32.3583" Properties=species:S:1:pos:R:3 comment="Nb10Se40I3, optimized geometry, DFT GGA-PBE" magmom_total_mub_per_fu=0.1 formation_energy_ev_per_atom=-0.58 corrected_energy_ev_per_cell=-552.7 pbc="T T T"
Se 3.0837 1.9676 19.2602
Se 7.6562 4.4988 3.3600
Se 1.2199 7.1416 12.9833
Se 8.4941 7.7730 29.1624
Se 6.9540 1.2420 22.5610
Se 6.6174 2.3580 29.1763
Se 2.0577 6.4840 28.9984
Se 1.8283 6.9170 22.7322
Se 3.6721 2.7303 22.7067
Se 2.0699 5.4704 3.3216
Se 6.0418 2.0990 6.5275
Se 6.9783 9.6246 6.4059
Se 2.7600 0.6106 6.3818
Se 4.3825 2.1882 3.2602
Se 2.0699 4.8810 12.8575
Se 8.5051 3.6035 13.1043
Se 7.8857 6.2857 6.5530
Se 0.3666 3.1390 9.8774
Se 5.3314 2.8195 19.4394
Se 5.0423 3.4131 32.2722
Se 9.3668 3.0022 6.4738
Se 1.8438 3.9561 6.6351
Se 6.0418 8.2525 9.6517
Se 2.1411 4.6672 0.0064
Se 7.6562 5.8527 12.8192
Se 5.3508 7.8027 3.4265
Se 2.7356 1.3582 25.9524
Se 1.8438 6.3953 9.5441
Se 4.6717 2.7817 16.0931
Se 2.1411 5.6842 16.1728
Se 3.6971 8.1450 6.6596
Se 1.0347 3.5884 16.2546
Se 4.3632 3.1801 28.9318
Se 1.0347 8.0257 32.2829
Se 7.6441 6.1018 19.5008
Se 6.7638 1.6720 16.1478
Se 7.8702 4.5875 22.8143
Se 1.8283 4.6971 25.8053
Se 1.2199 3.2098 3.1959
Se 0.3471 3.6336 22.6530
Se 2.7356 10.2560 22.5851
Se 6.0169 8.7764 22.8388
Se 6.0169 2.8378 25.6987
Se 8.6792 7.3944 16.1037
Se 6.9783 0.7268 9.7733
Se 0.3471 7.9806 25.8845
Se 2.0577 5.1301 19.5392
Se 9.3668 7.3492 9.7053
Se 4.3632 8.4341 19.6057
Se 3.6971 2.2064 9.5196
Se 4.3825 8.1633 12.9189
Se 9.3473 3.7703 26.0566
Se 6.7638 8.6795 0.0314
Se 2.9501 2.3033 32.3269
Se 6.9540 10.3722 25.9766
Se 8.5051 6.7480 3.0749
Se 4.6717 7.5697 0.0861
Se 9.3473 7.8438 22.4809
Se 2.9501 9.3108 16.2106
Se 6.6174 9.2562 19.3612
Se 3.0965 8.6248 3.1821
Se 5.0423 8.2011 16.2653
Se 5.3314 8.7946 29.0981
Se 7.8857 4.0658 9.6262
Se 7.6441 5.5124 29.0367
Se 6.6303 1.3363 3.0810
Se 8.4941 3.8412 19.3751
Se 8.6792 2.9571 0.0754
Se 1.2089 7.3793 19.2541
Se 3.0965 1.7266 12.9971
Se 1.2089 4.2348 29.2834
Se 3.0837 9.6465 29.2773
Se 7.5729 5.2986 16.1855
Se 2.7600 9.7408 9.7974
Se 0.3666 7.2125 6.3017
Se 7.8702 7.0267 25.7232
Se 6.6303 9.0152 13.0982
Se 3.6721 8.8838 25.8308
Se 5.3508 2.5487 12.7527
Se 7.5729 6.3156 32.3520
Nb 0.0017 5.4305 14.5917
Nb 4.8669 10.1532 11.2772
Nb 4.8669 0.1983 4.9020
Nb 0.0057 5.3041 11.2985
Nb 4.8525 10.4111 17.7388
Nb 4.8471 0.8296 21.0811
Nb 9.7083 5.9355 27.4777
Nb 0.0088 5.1757 8.0896
Nb 4.8614 0.5717 14.6195
Nb 4.8614 9.7797 1.5596
Nb 0.0017 4.9210 1.5874
Nb 4.8688 0.3157 8.0896
Nb 4.8452 0.9470 24.2688
Nb 4.8471 10.7845 27.4564
Nb 4.8525 1.2031 30.7987
Nb 0.0057 5.0473 4.8807
Nb 9.7123 6.0618 30.7709
Nb 9.7123 5.5523 17.7666
Nb 9.7083 5.6787 21.0598
Nb 9.7052 5.8071 24.2688
I 0.0285 0.5411 13.6393
I 9.6855 10.4417 18.7190
I 0.0285 9.8103 2.5398
I 4.8162 5.8071 24.2688
I 9.6855 1.1724 29.8185
I 4.8977 5.1757 8.0896

44
Lattice="11.5499 0.0000 0.0000 -5.7248 10.8978 0.0000 -1.5759 -3.3648 15.4682" Properties=species:S:1:pos:R:3 comment="NbTe2Se2I6, optimized geometry, DFT GGA-PBE" magmom_total_mub_per_fu=0.0 formation_energy_ev_per_atom=-0.55 corrected_energy_ev_per_cell=-154.2 pbc="T T T"
I -0.0155 5.3158 5.8331
I -2.6940 4.6610 9.5953
I 4.4101 6.1613 14.1182
I 5.7242 -2.9568 13.7511
I 2.6393 8.6790 6.3436
I 6.9433 2.8720 5.8729
I 4.2647 2.2171 9.6351
I 1.2798 -1.4527 13.3004
I 4.3421 6.5744 9.8916
I -1.4750 10.4898 1.7170
I -2.7463 4.5403 13.5909
I -0.0929 0.9585 5.5765
I 2.9694 8.9857 2.1678
I -0.1609 1.3716 1.3500
I 1.6100 -1.1460 9.1246
I 8.6921 0.3452 9.3611
I -2.8888 0.2574 13.6386
I 7.1380 7.2755 1.8296
I -4.4429 7.1878 6.1071
I 0.1204 5.6484 1.8769
I 4.1288 1.8845 13.5913
I 0.0047 7.9944 9.5409
I 4.2445 -0.4615 5.9273
I 6.9955 2.9926 1.8773
Te -3.0381 2.1132 11.5402
Te -0.2670 2.9967 3.6784
Te 1.4479 7.5632 4.0329
Te 7.2874 5.4197 3.9280
Te 5.5952 0.8265 3.8356
Te 2.8013 -0.0303 11.4353
Te -1.3459 6.7065 11.6325
Te 4.5162 4.5362 11.7898
Nb 4.8962 3.6903 3.8705
Nb 2.1180 2.8316 11.6088
Nb -0.6469 3.8427 11.5977
Nb 2.1312 4.7014 3.8593
Se 3.8761 5.2093 5.7726
Se 3.9509 5.3771 2.0665
Se 0.3732 2.3237 9.6956
Se 3.0703 3.0067 5.6537
Se 3.1469 3.1690 1.9601
Se 1.1023 4.3640 13.5081
Se 0.2984 2.1559 13.4017
Se 1.1789 4.5262 9.8145

22
Lattice="3.8502 6.6654 0.0000 -3.8502 6.6654 0.0000 0.0000 0.0325 14.6053" Properties=species:S:1:pos:R:3 comment="Ta2NbTeI7, optimized geometry, DFT GGA-PBE" magmom_total_mub_per_fu=0.0 formation_energy_ev_per_atom=-0.72 corrected_energy_ev_per_cell=-111.1 pbc="T T T"
I 1.9186 3.3649 5.1952
I 1.9268 5.5375 1.7999
I 0.0000 6.6702 5.2113
I 0.0000 11.1265 9.1018
I 1.9145 10.0163 12.4860
I -1.9268 5.5375 1.7999
I -1.9214 7.8019 9.0980
I 1.9214 7.8019 9.0980
I -1.9145 10.0163 12.4860
I 0.0000 8.9021 2.1928
I 0.0000 4.4672 9.5082
I 0.0000 6.7050 12.4852
I -1.9186 3.3649 5.1952
I 0.0000 2.2323 1.7858
Nb 2.3297 7.5536 3.6525
Nb -2.3297 7.5536 3.6525
Ta 0.0000 11.5792 3.6639
Ta 2.3419 5.8195 10.9633
Ta 0.0000 1.7655 10.9619
Ta -2.3419 5.8195 10.9633
Te 0.0000 13.3572 13.0695
Te 0.0000 13.3338 5.7480

34
Lattice="3.0916 10.8904 0.0000 -3.0916 10.8904 0.0000 0.0000 10.4366 16.9640" Properties=species:S:1:pos:R:3 comment="Nb4Te12I, optimized geometry, DFT GGA-PBE" magmom_total_mub_per_fu=0.5 formation_energy_ev_per_atom=-0.18 corrected_energy_ev_per_cell=-165.6 pbc="T T T"
Te 0.0266 26.9186 10.5941
Te -0.0451 21.2900 5.5941
Te -0.0266 21.7003 2.1121
Te 0.8239 20.8184 10.0860
Te 0.5752 17.4730 4.7813
Te 0.8225 20.0670 15.8305
Te 0.0451 26.5083 14.0761
Te 0.5752 9.5261 3.7007
Te -0.5752 14.7444 12.1827
Te -0.5752 22.6913 13.2633
Te -1.7119 18.2311 16.7429
Te 0.8239 16.6173 15.3599
Te -1.7119 19.2045 8.7030
Te 1.7119 13.0128 8.2610
Te -0.8239 15.6000 1.6041
Te 1.7119 13.9862 0.2210
Te -0.8239 11.3990 6.8779
Te 0.0266 10.5170 14.8519
Te 0.8225 17.3687 9.6154
Te -0.0451 5.7091 2.8879
Te 0.0451 10.9274 11.3698
Te -0.0266 5.2987 6.3699
Te -0.8225 12.1504 1.1335
Te -0.8225 14.8487 7.3485
I 1.1162 13.4995 4.2410
I -1.1162 18.7178 12.7230
Nb 0.2716 24.1473 6.2063
Nb -1.1449 15.4729 4.5113
Nb -1.1449 11.5261 3.9707
Nb -0.2716 8.0700 10.7577
Nb -0.2716 29.3656 14.6883
Nb 0.2716 2.8517 2.2757
Nb 1.1449 20.6913 12.9933
Nb 1.1449 16.7444 12.4527

22
Lattice="8.3247 0.0000 0.0000 -1.6874 11.4032 0.0000 -3.6902 -5.1135 10.6163" Properties=species:S:1:pos:R:3 comment="NbTe4I6, optimized geometry, DFT GGA-PBE" magmom_total_mub_per_fu=0.0 formation_energy_ev_per_atom=-0.49 corrected_energy_ev_per_cell=-74.3 pbc="T T T"
Te -0.6191 2.4516 6.2048
Te -0.2306 3.2942 3.6560
Te 1.2457 6.9893 4.0000
Te 3.5662 3.8381 4.4115
Te 1.7014 -0.6996 6.6163
Te 3.1776 2.9954 6.9603
Te 2.4593 0.8373 2.1145
Te 0.4878 5.4524 8.5018
I 3.6855 7.2111 2.6281
I 2.7330 6.9534 6.7866
I -1.8280 4.1913 9.4694
I -1.1896 6.4125 5.9664
I 4.1367 -0.1229 4.6499
I 0.2141 -0.6638 3.8297
I -0.3555 6.6032 1.6822
I 3.3026 -0.3135 8.9341
I 0.7132 2.1007 0.2902
I -0.7384 -0.9214 7.9882
I 2.2339 4.1890 10.3261
I 4.7751 2.0984 1.1469
Nb 1.1803 4.6021 5.7475
Nb 1.7668 1.6876 4.8688

3
Lattice="3.8834 0.0000 0.0000 0.0000 3.8834 0.0000 -1.9417 -1.9417 7.8409" Properties=species:S:1:pos:R:3 comment="NdI2, optimized geometry, DFT GGA-PBE" formation_energy_ev_per_atom=-1.56 corrected_energy_ev_per_cell=-12.5 pbc="T T T"
Nd 0.0000 0.0000 0.0000
I 0.0000 0.0000 5.9530
I 1.9417 1.9417 1.8879